Entry 1:
# Ho6Ti4Al43 | Materials Project | GGA-PBE | optimized geometry
data_Ho6Ti4Al43
_cell_length_a 11.081
_cell_length_b 11.081
_cell_length_c 17.752
_cell_angle_alpha 90.00
_cell_angle_beta 90.00
_cell_angle_gamma 120.00
_space_group_name_H-M_alt 'P 1'
_space_group_IT_number 1
loop_
_space_group_symop_operation_xyz
'x,y,z'
loop_
_atom_site_label
_atom_site_fract_x
_atom_site_fract_y
_atom_site_fract_z
Ho1 0.000 0.469 0.096
Ho2 0.000 0.469 0.404
Ho3 0.000 0.531 0.596
Ho4 0.000 0.531 0.904
Ho5 0.469 0.000 0.096
Ho6 0.469 0.000 0.404
Ho7 0.469 0.469 0.596
Ho8 0.469 0.469 0.904
Ho9 0.531 0.000 0.596
Ho10 0.531 0.000 0.904
Ho11 0.531 0.531 0.096
Ho12 0.531 0.531 0.404
Ti1 0.000 0.000 0.000
Ti2 0.000 0.000 0.500
Ti3 0.000 0.271 0.250
Ti4 0.000 0.729 0.750
Ti5 0.271 0.000 0.250
Ti6 0.271 0.271 0.750
Ti7 0.729 0.000 0.750
Ti8 0.729 0.729 0.250
Al1 0.000 0.147 0.750
Al2 0.000 0.158 0.116
Al3 0.000 0.158 0.384
Al4 0.000 0.254 0.529
Al5 0.000 0.254 0.971
Al6 0.000 0.746 0.029
Al7 0.000 0.746 0.471
Al8 0.000 0.842 0.616
Al9 0.000 0.842 0.884
Al10 0.000 0.853 0.250
Al11 0.147 0.000 0.750
Al12 0.147 0.147 0.250
Al13 0.149 0.552 0.250
Al14 0.149 0.597 0.750
Al15 0.158 0.000 0.116
Al16 0.158 0.000 0.384
Al17 0.158 0.158 0.616
Al18 0.158 0.158 0.884
Al19 0.158 0.394 0.664
Al20 0.158 0.394 0.836
Al21 0.158 0.765 0.164
Al22 0.158 0.765 0.336
Al23 0.235 0.394 0.164
Al24 0.235 0.394 0.336
Al25 0.235 0.842 0.664
Al26 0.235 0.842 0.836
Al27 0.247 0.495 0.000
Al28 0.247 0.495 0.500
Al29 0.247 0.753 0.000
Al30 0.247 0.753 0.500
Al31 0.254 0.000 0.529
Al32 0.254 0.000 0.971
Al33 0.254 0.254 0.029
Al34 0.254 0.254 0.471
Al35 0.333 0.667 0.126
Al36 0.333 0.667 0.374
Al37 0.333 0.667 0.626
Al38 0.333 0.667 0.874
Al39 0.394 0.158 0.664
Al40 0.394 0.158 0.836
Al41 0.394 0.235 0.164
Al42 0.394 0.235 0.336
Al43 0.403 0.552 0.750
Al44 0.403 0.851 0.250
Al45 0.448 0.597 0.250
Al46 0.448 0.851 0.750
Al47 0.495 0.247 0.000
Al48 0.495 0.247 0.500
Al49 0.505 0.753 0.000
Al50 0.505 0.753 0.500
Al51 0.552 0.149 0.250
Al52 0.552 0.403 0.750
Al53 0.597 0.149 0.750
Al54 0.597 0.448 0.250
Al55 0.606 0.765 0.664
Al56 0.606 0.765 0.836
Al57 0.606 0.842 0.164
Al58 0.606 0.842 0.336
Al59 0.667 0.333 0.126
Al60 0.667 0.333 0.374
Al61 0.667 0.333 0.626
Al62 0.667 0.333 0.874
Al63 0.746 0.000 0.029
Al64 0.746 0.000 0.471
Al65 0.746 0.746 0.529
Al66 0.746 0.746 0.971
Al67 0.753 0.247 0.000
Al68 0.753 0.247 0.500
Al69 0.753 0.505 0.000
Al70 0.753 0.505 0.500
Al71 0.765 0.158 0.164
Al72 0.765 0.158 0.336
Al73 0.765 0.606 0.664
Al74 0.765 0.606 0.836
Al75 0.842 0.000 0.616
Al76 0.842 0.000 0.884
Al77 0.842 0.235 0.664
Al78 0.842 0.235 0.836
Al79 0.842 0.606 0.164
Al80 0.842 0.606 0.336
Al81 0.842 0.842 0.116
Al82 0.842 0.842 0.384
Al83 0.851 0.403 0.250
Al84 0.851 0.448 0.750
Al85 0.853 0.000 0.250
Al86 0.853 0.853 0.750
# DFT total energy ... -476.1 eV per cell
# Formation energy from the elements ... -0.338 eV/atom
# Symmetry ... P6_3/mcm, No. 193

Entry 2:
# Na7Y3NbSi3P3O24 | Materials Project | GGA-PBE | optimized geometry
data_Na7Y3NbSi3P3O24
_cell_length_a 9.355
_cell_length_b 9.356
_cell_length_c 23.276
_cell_angle_alpha 89.96
_cell_angle_beta 89.96
_cell_angle_gamma 60.01
_space_group_name_H-M_alt 'P 1'
_space_group_IT_number 1
loop_
_space_group_symop_operation_xyz
'x,y,z'
loop_
_atom_site_label
_atom_site_fract_x
_atom_site_fract_y
_atom_site_fract_z
Na1 0.000 0.000 0.000
Na2 0.001 0.727 0.499
Na3 0.030 0.667 0.172
Na4 0.297 0.030 0.170
Na5 0.304 0.384 0.661
Na6 0.328 0.701 0.578
Na7 0.335 0.699 0.083
Na8 0.338 0.334 0.336
Na9 0.369 0.992 0.497
Na10 0.370 0.367 0.997
Na11 0.619 0.375 0.501
Na12 0.623 0.729 0.000
Na13 0.654 0.032 0.914
Na14 0.659 0.031 0.417
Na15 0.661 0.400 0.170
Na16 0.668 0.666 0.664
Na17 0.684 0.706 0.336
Na18 0.688 0.330 0.830
Na19 0.966 0.059 0.337
Na20 0.996 0.364 0.255
Na21 0.997 0.356 0.748
Y1 0.330 0.699 0.932
Y2 0.331 0.698 0.242
Y3 0.332 0.696 0.432
Y4 0.660 0.037 0.568
Y5 0.661 0.036 0.063
Y6 0.662 0.032 0.269
Y7 0.663 0.030 0.769
Y8 0.993 0.360 0.603
Y9 0.994 0.364 0.099
Nb1 0.005 0.358 0.897
Nb2 0.325 0.695 0.735
Nb3 0.997 0.371 0.401
Si1 0.027 0.694 0.336
Si2 0.290 0.071 0.000
Si3 0.290 0.365 0.502
Si4 0.322 0.008 0.336
Si5 0.323 0.404 0.836
Si6 0.639 0.395 0.336
Si7 0.659 0.338 0.672
Si8 0.702 0.661 0.502
Si9 0.704 0.366 0.998
P1 0.038 0.998 0.835
P2 0.362 0.335 0.167
P3 0.366 0.022 0.670
P4 0.629 0.689 0.834
P5 0.661 0.732 0.166
P6 0.965 0.029 0.167
P7 0.969 0.734 0.669
P8 0.996 0.075 0.498
P9 0.996 0.653 0.998
O1 0.002 0.554 0.666
O2 0.013 0.523 0.345
O3 0.022 0.154 0.552
O4 0.023 0.176 0.840
O5 0.024 0.557 0.055
O6 0.107 0.730 0.391
O7 0.109 0.906 0.892
O8 0.139 0.872 0.170
O9 0.142 0.649 0.278
O10 0.145 0.717 0.681
O11 0.147 0.677 0.992
O12 0.148 0.901 0.494
O13 0.149 0.394 0.843
O14 0.153 0.191 0.346
O15 0.155 0.899 0.784
O16 0.177 0.201 0.945
O17 0.181 0.350 0.446
O18 0.185 0.150 0.058
O19 0.185 0.387 0.560
O20 0.186 0.355 0.164
O21 0.196 0.180 0.665
O22 0.280 0.935 0.278
O23 0.302 0.535 0.781
O24 0.305 0.891 0.995
O25 0.306 0.530 0.497
O26 0.347 0.508 0.170
O27 0.351 0.482 0.893
O28 0.351 0.864 0.682
O29 0.359 0.890 0.391
O30 0.445 0.229 0.220
O31 0.457 0.049 0.720
O32 0.467 0.249 0.112
O33 0.468 0.063 0.998
O34 0.469 0.193 0.500
O35 0.472 0.983 0.614
O36 0.479 0.037 0.329
O37 0.482 0.529 0.683
O38 0.487 0.227 0.827
O39 0.504 0.716 0.170
O40 0.517 0.684 0.497
O41 0.519 0.527 0.994
O42 0.520 0.476 0.391
O43 0.528 0.670 0.783
O44 0.531 0.714 0.890
O45 0.568 0.511 0.278
O46 0.612 0.269 0.614
O47 0.643 0.837 0.112
O48 0.656 0.835 0.826
O49 0.667 0.210 0.329
O50 0.676 0.231 0.728
O51 0.682 0.817 0.220
O52 0.701 0.837 0.500
O53 0.702 0.192 0.998
O54 0.779 0.397 0.057
O55 0.782 0.552 0.559
O56 0.797 0.520 0.838
O57 0.805 0.383 0.669
O58 0.819 0.558 0.164
O59 0.823 0.380 0.346
O60 0.825 0.548 0.446
O61 0.830 0.352 0.943
O62 0.834 0.067 0.502
O63 0.834 0.822 0.000
O64 0.841 0.848 0.329
O65 0.852 0.819 0.719
O66 0.859 0.051 0.220
O67 0.861 0.031 0.828
O68 0.880 0.010 0.112
O69 0.900 0.832 0.613
O70 0.978 0.184 0.444
O71 0.979 0.551 0.947
O72 0.982 0.187 0.164
# DFT total energy ... -891.9 eV per cell
# Formation energy from the elements ... -3.019 eV/atom
# Symmetry ... P1, No. 1
# Energy with MP2020 corrections ... -941.36 eV/cell